# K3InF6 PBE optimized geometry
# Total energy after the MP2020 corrections = -4.753 eV per atom
# Space-group type = Pn-3, No. 201
# ΔE_f = -2.996 eV/atom
data_K3InF6
_chemical_formula_sum 'K12 In4 F24'
_symmetry_space_group_name_H-M 'P 1'
_symmetry_Int_Tables_number 1
_cell_length_a 9.1356
_cell_length_b 9.1356
_cell_length_c 9.1356
_cell_angle_alpha 90.00
_cell_angle_beta 90.00
_cell_angle_gamma 90.00
loop_
_symmetry_equiv_pos_as_xyz
'x,y,z'
loop_
_atom_site_label
_atom_site_type_symbol
_atom_site_fract_x
_atom_site_fract_y
_atom_site_fract_z
K1 K 0.0000 0.0000 0.0000
K2 K 0.0000 0.5000 0.5000
K3 K 0.2500 0.2500 0.2500
K4 K 0.2500 0.2500 0.7500
K5 K 0.2500 0.7500 0.2500
K6 K 0.2500 0.7500 0.7500
K7 K 0.5000 0.0000 0.5000
K8 K 0.5000 0.5000 0.0000
K9 K 0.7500 0.2500 0.2500
K10 K 0.7500 0.2500 0.7500
K11 K 0.7500 0.7500 0.2500
K12 K 0.7500 0.7500 0.7500
In1 In 0.0000 0.0000 0.5000
In2 In 0.0000 0.5000 0.0000
In3 In 0.5000 0.0000 0.0000
In4 In 0.5000 0.5000 0.5000
F1 F 0.0397 0.7222 0.9488
F2 F 0.0397 0.7778 0.5512
F3 F 0.0512 0.5397 0.2222
F4 F 0.0512 0.9603 0.2778
F5 F 0.2222 0.0512 0.5397
F6 F 0.2222 0.4488 0.9603
F7 F 0.2778 0.0512 0.9603
F8 F 0.2778 0.4488 0.5397
F9 F 0.4488 0.5397 0.2778
F10 F 0.4488 0.9603 0.2222
F11 F 0.4603 0.7222 0.5512
F12 F 0.4603 0.7778 0.9488
F13 F 0.5397 0.2222 0.0512
F14 F 0.5397 0.2778 0.4488
F15 F 0.5512 0.0397 0.7778
F16 F 0.5512 0.4603 0.7222
F17 F 0.7222 0.5512 0.4603
F18 F 0.7222 0.9488 0.0397
F19 F 0.7778 0.5512 0.0397
F20 F 0.7778 0.9488 0.4603
F21 F 0.9488 0.0397 0.7222
F22 F 0.9488 0.4603 0.7778
F23 F 0.9603 0.2222 0.4488
F24 F 0.9603 0.2778 0.0512